# 1
Na6Zn3Si2GeS4O24: optimized geometry, PBE-GGA.

Values from the calculation:
**Energy of formation from the pure elements**: -2140 meV/atom

Cell: 8.984 8.987 22.016 Å, 88.97 88.66 60.03°
Space group P1 (No. 1)
Inequivalent atoms, fractional coordinates:
Na 0.000 0.000 0.000
Na 0.000 0.251 0.514
Na 0.014 0.612 0.255
Na 0.031 0.607 0.765
Na 0.051 0.943 0.673
Na 0.309 0.292 0.685
Na 0.330 0.967 0.593
Na 0.335 0.978 0.096
Na 0.339 0.330 0.333
Na 0.370 0.640 0.515
Na 0.397 0.242 0.006
Na 0.634 0.639 0.007
Na 0.651 0.955 0.170
Na 0.658 0.666 0.674
Na 0.665 0.292 0.921
Na 0.683 0.284 0.428
Na 0.696 0.971 0.850
Na 0.971 0.965 0.347
Zn 0.022 0.626 0.904
Zn 0.317 0.990 0.743
Zn 0.327 0.959 0.443
Zn 0.328 0.982 0.240
Zn 0.369 0.975 0.933
Zn 0.638 0.320 0.260
Zn 0.670 0.275 0.079
Zn 0.681 0.294 0.576
Zn 0.993 0.652 0.411
Si 0.347 0.274 0.837
Si 0.353 0.308 0.171
Si 0.374 0.596 0.668
Si 0.724 0.915 0.007
Si 0.958 0.309 0.671
Si 0.997 0.930 0.506
Ge 0.007 0.623 0.108
Ge 0.020 0.628 0.611
Ge 0.646 0.339 0.771
S 0.001 0.342 0.010
S 0.034 0.269 0.343
S 0.036 0.974 0.840
S 0.294 0.340 0.506
S 0.295 0.636 0.008
S 0.345 0.668 0.340
S 0.632 0.663 0.838
S 0.633 0.963 0.340
S 0.679 0.593 0.171
S 0.680 0.998 0.673
S 0.713 0.638 0.508
S 0.973 0.994 0.174
O 0.000 0.828 0.841
O 0.022 0.441 0.346
O 0.031 0.790 0.566
O 0.040 0.420 0.064
O 0.111 0.166 0.400
O 0.125 0.979 0.896
O 0.137 0.952 0.784
O 0.149 0.183 0.290
O 0.151 0.151 0.680
O 0.151 0.958 0.179
O 0.152 0.165 0.006
O 0.160 0.488 0.163
O 0.178 0.940 0.510
O 0.180 0.422 0.564
O 0.181 0.463 0.846
O 0.181 0.607 0.667
O 0.184 0.659 0.065
O 0.188 0.646 0.340
O 0.210 0.441 0.451
O 0.226 0.598 0.956
O 0.298 0.800 0.004
O 0.309 0.168 0.506
O 0.327 0.781 0.288
O 0.333 0.177 0.779
O 0.342 0.132 0.177
O 0.352 0.785 0.678
O 0.354 0.743 0.399
O 0.402 0.156 0.900
O 0.424 0.345 0.234
O 0.460 0.332 0.511
O 0.460 0.462 0.727
O 0.474 0.273 0.111
O 0.475 0.491 0.016
O 0.485 0.512 0.607
O 0.500 0.493 0.336
O 0.522 0.982 0.393
O 0.527 0.769 0.176
O 0.531 0.932 0.009
O 0.533 0.735 0.896
O 0.535 0.964 0.680
O 0.538 0.277 0.828
O 0.543 0.764 0.784
O 0.543 0.798 0.505
O 0.555 0.953 0.282
O 0.647 0.105 0.619
O 0.652 0.485 0.836
O 0.654 0.120 0.338
O 0.670 0.512 0.115
O 0.686 0.487 0.510
O 0.705 0.487 0.225
O 0.706 0.106 0.011
O 0.710 0.075 0.728
O 0.797 0.649 0.565
O 0.803 0.648 0.841
O 0.808 0.808 0.342
O 0.816 0.351 0.729
O 0.824 0.608 0.454
O 0.825 0.789 0.069
O 0.831 0.121 0.511
O 0.837 0.619 0.169
O 0.837 0.824 0.947
O 0.842 0.333 0.019
O 0.844 0.823 0.668
O 0.863 0.081 0.229
O 0.864 0.137 0.838
O 0.865 0.280 0.336
O 0.892 0.265 0.611
O 0.900 0.097 0.118
O 0.967 0.494 0.665
O 0.971 0.826 0.170
O 0.978 0.445 0.955
O 0.988 0.850 0.442


# 2
ZnCuHg4As7S12: optimized geometry, PBE-GGA.

Values from the calculation:
**Energy of formation from the pure elements**: 244 meV/atom
**Energy above the lowest structure with this stoichiometry**: 0.5471 eV per atom

Cell: 9.332 9.559 23.721 Å, 99.41 94.76 107.88°
Space group P1 (No. 1)
Inequivalent atoms, fractional coordinates:
Zn 0.000 0.000 0.000
Zn 0.311 0.315 0.333
Zn 0.645 0.658 0.662
Cu 0.001 0.242 0.259
Cu 0.325 0.576 0.582
Cu 0.684 0.923 0.917
Hg 0.040 0.790 0.600
Hg 0.086 0.334 0.089
Hg 0.146 0.894 0.414
Hg 0.169 0.173 0.664
Hg 0.416 0.707 0.424
Hg 0.438 0.159 0.907
Hg 0.488 0.293 0.753
Hg 0.516 0.503 0.999
Hg 0.748 0.500 0.254
Hg 0.759 0.013 0.751
Hg 0.826 0.586 0.087
Hg 0.839 0.823 0.333
As 0.086 0.055 0.835
As 0.091 0.565 0.333
As 0.144 0.678 0.885
As 0.221 0.261 0.509
As 0.269 0.765 0.015
As 0.283 0.964 0.161
As 0.331 0.673 0.797
As 0.356 0.748 0.193
As 0.407 0.374 0.171
As 0.424 0.899 0.657
As 0.484 0.992 0.216
As 0.539 0.954 0.116
As 0.546 0.236 0.450
As 0.551 0.595 0.829
As 0.596 0.093 0.346
As 0.738 0.729 0.504
As 0.779 0.264 0.992
As 0.874 0.921 0.171
As 0.910 0.423 0.669
As 0.925 0.634 0.835
As 0.976 0.423 0.879
S 0.008 0.007 0.241
S 0.026 0.761 0.996
S 0.056 0.312 0.347
S 0.069 0.056 0.088
S 0.070 0.547 0.579
S 0.123 0.611 0.426
S 0.158 0.171 0.911
S 0.166 0.891 0.678
S 0.171 0.409 0.180
S 0.211 0.265 0.760
S 0.247 0.527 0.995
S 0.308 0.056 0.499
S 0.351 0.083 0.332
S 0.363 0.351 0.573
S 0.386 0.650 0.666
S 0.413 0.393 0.422
S 0.422 0.880 0.925
S 0.438 0.922 0.755
S 0.467 0.491 0.251
S 0.506 0.775 0.512
S 0.521 0.235 0.005
S 0.545 0.585 0.099
S 0.570 0.846 0.324
S 0.650 0.301 0.821
S 0.675 0.424 0.648
S 0.698 0.691 0.897
S 0.731 0.731 0.747
S 0.751 0.231 0.260
S 0.756 0.014 0.996
S 0.798 0.306 0.086
S 0.805 0.852 0.581
S 0.832 0.545 0.355
S 0.854 0.097 0.839
S 0.883 0.930 0.432
S 0.893 0.186 0.651
S 0.939 0.702 0.171